Density functional theory data (PBE) for LaTiI5O16 after structural relaxation.

Properties
* formation energy: -1.54 eV/atom
* VASP energy: -0.1984 hartree per atom
* mass density: 4.897 g/cm³
* total magnetization: 0.00 μB/atom
* crystal system: monoclinic
* volume: 15.88 Å³ per atom
* energy with MP2020 corrections: -5.88 eV/atom

```
data_LaTiI5O16
_chemical_formula_sum 'La4 Ti4 I20 O64'
_symmetry_space_group_name_H-M 'P 1 21/c 1'
_symmetry_Int_Tables_number 14
_symmetry_space_group_name_Hall '-P 2ybc'
_cell_length_a 7.5240
_cell_length_b 18.2425
_cell_length_c 12.8610
_cell_angle_alpha 90.00
_cell_angle_beta 124.13
_cell_angle_gamma 90.00
loop_
_atom_site_label
_atom_site_type_symbol
_atom_site_fract_x
_atom_site_fract_y
_atom_site_fract_z
La1 La 0.0170 0.2332 0.2588
Ti1 Ti 0.4987 0.0017 0.7343
I1 I 0.0100 0.5053 0.2469
I2 I 0.1177 0.6318 0.5507
I3 I 0.3241 0.1798 0.5991
I4 I 0.3334 0.6637 0.0629
I5 I 0.4733 0.1220 0.0670
O1 O 0.0012 0.0969 0.1983
O2 O 0.0559 0.1761 0.4515
O3 O 0.1034 0.0518 0.8852
O4 O 0.1640 0.6585 0.8922
O5 O 0.2040 0.7004 0.4806
O6 O 0.2125 0.6830 0.6946
O7 O 0.2627 0.1948 0.9798
O8 O 0.2707 0.2263 0.7044
O9 O 0.2979 0.5126 0.7925
O10 O 0.3027 0.0828 0.6391
O11 O 0.3087 0.5241 0.3027
O12 O 0.3173 0.5639 0.0875
O13 O 0.3404 0.6858 0.3090
O14 O 0.3498 0.5697 0.6094
O15 O 0.3511 0.0872 0.1496
O16 O 0.4032 0.1689 0.4146
```